No. 1
Computed, not measured: crystalline GaPt at its relaxed geometry at the meta-GGA r2SCAN level of DFT.

Lattice parameters (Å, degrees): 4.922 4.922 4.922 90.00 90.00 90.00
Positions (direct):
Ga 0.093 0.093 0.093
Ga 0.407 0.907 0.593
Ga 0.593 0.407 0.907
Ga 0.907 0.593 0.407
Pt 0.101 0.601 0.899
Pt 0.399 0.399 0.399
Pt 0.601 0.899 0.101
Pt 0.899 0.101 0.601

Its formation energy is -0.69 eV/atom.



No. 2
Computed, not measured: crystalline K2Cr2O7 at its relaxed geometry at the meta-GGA r2SCAN level of DFT.

Lattice parameters (Å, degrees): 7.348 7.400 13.355 95.43 98.14 90.80
Positions (direct):
K 0.109 0.159 0.141
K 0.252 0.261 0.846
K 0.309 0.844 0.640
K 0.338 0.584 0.341
K 0.662 0.416 0.659
K 0.691 0.156 0.360
K 0.748 0.739 0.154
K 0.891 0.841 0.859
Cr 0.181 0.073 0.388
Cr 0.188 0.347 0.583
Cr 0.204 0.688 0.087
Cr 0.406 0.726 0.895
Cr 0.594 0.274 0.105
Cr 0.796 0.312 0.913
Cr 0.812 0.653 0.417
Cr 0.819 0.927 0.612
O 0.019 0.982 0.302
O 0.035 0.818 0.055
O 0.041 0.438 0.650
O 0.072 0.206 0.477
O 0.129 0.522 0.142
O 0.276 0.885 0.852
O 0.293 0.601 0.976
O 0.302 0.919 0.442
O 0.309 0.503 0.543
O 0.312 0.203 0.335
O 0.327 0.222 0.650
O 0.361 0.804 0.164
O 0.403 0.190 0.044
O 0.443 0.584 0.800
O 0.557 0.416 0.200
O 0.597 0.810 0.956
O 0.639 0.196 0.836
O 0.673 0.778 0.350
O 0.688 0.797 0.665
O 0.691 0.497 0.457
O 0.698 0.081 0.558
O 0.707 0.399 0.024
O 0.724 0.115 0.148
O 0.871 0.478 0.858
O 0.928 0.794 0.523
O 0.959 0.562 0.350
O 0.965 0.182 0.945
O 0.981 0.018 0.698

Its formation energy is -2.01 eV/atom.



No. 3
Computed, not measured: crystalline Na2Re3S6 at its relaxed geometry at the meta-GGA r2SCAN level of DFT.

Lattice parameters (Å, degrees): 9.308 9.308 11.563 92.80 92.80 62.67
Positions (direct):
Na 0.085 0.915 0.750
Na 0.140 0.607 0.993
Na 0.284 0.716 0.250
Na 0.393 0.860 0.507
Na 0.607 0.140 0.493
Na 0.716 0.284 0.750
Na 0.860 0.393 0.007
Na 0.915 0.085 0.250
Re 0.022 0.383 0.631
Re 0.096 0.308 0.412
Re 0.200 0.488 0.533
Re 0.308 0.096 0.912
Re 0.383 0.022 0.131
Re 0.488 0.200 0.033
Re 0.512 0.800 0.967
Re 0.617 0.978 0.869
Re 0.692 0.904 0.088
Re 0.800 0.512 0.467
Re 0.904 0.692 0.588
Re 0.978 0.617 0.369
S 0.043 0.227 0.804
S 0.083 0.772 0.492
S 0.117 0.560 0.731
S 0.203 0.292 0.070
S 0.227 0.043 0.304
S 0.228 0.917 0.008
S 0.251 0.423 0.331
S 0.292 0.203 0.570
S 0.423 0.251 0.831
S 0.440 0.883 0.769
S 0.466 0.469 0.577
S 0.469 0.466 0.077
S 0.531 0.534 0.923
S 0.534 0.531 0.423
S 0.560 0.117 0.231
S 0.577 0.749 0.169
S 0.708 0.797 0.430
S 0.749 0.577 0.669
S 0.772 0.083 0.992
S 0.773 0.957 0.696
S 0.797 0.708 0.930
S 0.883 0.440 0.269
S 0.917 0.228 0.508
S 0.957 0.773 0.196

Its formation energy is -0.85 eV/atom.



> formation energy of number 2 (K2Cr2O7)?

-2.01 eV/atom